[1]
# K3Ti8O17

A relaxed structure of K3Ti8O17 (r²SCAN, the Materials Project database).

Cell and atoms, written as POSCAR:
```
K3Ti8O17
1.0
7.605 0.000 0.000
-1.900 7.830 0.000
-0.001 -1.030 12.035
K Ti O
6 16 34
direct
0.220 0.382 0.160 K
0.244 0.474 0.440 K
0.279 0.614 0.820 K
0.721 0.386 0.180 K
0.756 0.526 0.560 K
0.780 0.618 0.840 K
0.056 0.721 0.072 Ti
0.075 0.802 0.325 Ti
0.100 0.895 0.577 Ti
0.121 0.986 0.831 Ti
0.378 0.014 0.170 Ti
0.402 0.105 0.422 Ti
0.423 0.198 0.675 Ti
0.446 0.279 0.929 Ti
0.554 0.721 0.071 Ti
0.577 0.802 0.325 Ti
0.598 0.895 0.578 Ti
0.622 0.986 0.830 Ti
0.879 0.014 0.169 Ti
0.900 0.105 0.423 Ti
0.925 0.198 0.675 Ti
0.944 0.279 0.928 Ti
0.000 0.500 0.000 O
0.036 0.621 0.227 O
0.052 0.713 0.466 O
0.069 0.800 0.708 O
0.087 0.846 0.937 O
0.114 0.955 0.187 O
0.137 0.047 0.434 O
0.157 0.130 0.675 O
0.182 0.227 0.911 O
0.319 0.775 0.089 O
0.342 0.870 0.327 O
0.363 0.953 0.567 O
0.386 0.042 0.812 O
0.414 0.155 0.064 O
0.419 0.201 0.292 O
0.446 0.286 0.534 O
0.475 0.378 0.773 O
0.500 0.500 0.000 O
0.525 0.622 0.227 O
0.554 0.714 0.466 O
0.581 0.799 0.708 O
0.586 0.845 0.936 O
0.614 0.958 0.188 O
0.637 0.047 0.433 O
0.658 0.130 0.673 O
0.681 0.225 0.911 O
0.818 0.773 0.089 O
0.843 0.870 0.325 O
0.863 0.953 0.566 O
0.886 0.045 0.813 O
0.913 0.154 0.063 O
0.931 0.200 0.292 O
0.948 0.287 0.534 O
0.964 0.379 0.773 O
```

Results
Its total magnetization is 1.961 μB per cell. The calculated formation energy comes out at -3153 meV/atom.

---

[2]
# Rb2PdBr6

A relaxed structure of Rb2PdBr6 (r²SCAN, the Materials Project database).

Cell and atoms, written as POSCAR:
```
Rb2PdBr6
1.0
0.000 5.240 5.240
5.240 0.000 5.240
5.240 5.240 0.000
Rb Pd Br
2 1 6
direct
0.250 0.250 0.250 Rb
0.750 0.750 0.750 Rb
0.000 0.000 0.000 Pd
0.237 0.237 0.763 Br
0.237 0.763 0.237 Br
0.237 0.763 0.763 Br
0.763 0.237 0.237 Br
0.763 0.237 0.763 Br
0.763 0.763 0.237 Br
```

Results
Its total magnetization is 0.000 μB per cell. The calculated formation energy comes out at -1150 meV/atom.

---

[3]
# Bi3IO4

A relaxed structure of Bi3IO4 (r²SCAN, the Materials Project database).

Cell and atoms, written as POSCAR:
```
Bi3IO4
1.0
-2.869 0.148 -4.836
-4.840 -0.057 2.870
0.090 19.439 0.540
Bi O I
12 16 4
direct
0.748 0.750 0.370 Bi
0.752 0.750 0.870 Bi
0.248 0.250 0.370 Bi
0.750 0.250 0.500 Bi
0.748 0.750 0.130 Bi
0.252 0.250 0.630 Bi
0.750 0.250 0.000 Bi
0.250 0.750 0.500 Bi
0.752 0.750 0.630 Bi
0.248 0.250 0.130 Bi
0.250 0.750 0.000 Bi
0.252 0.250 0.870 Bi
0.002 0.001 0.576 O
0.998 0.501 0.424 O
0.502 0.501 0.576 O
0.998 0.999 0.076 O
0.498 0.499 0.424 O
0.502 0.999 0.924 O
0.002 0.499 0.576 O
0.498 0.001 0.424 O
0.998 0.501 0.076 O
0.498 0.001 0.076 O
0.998 0.999 0.424 O
0.002 0.001 0.924 O
0.002 0.499 0.924 O
0.502 0.501 0.924 O
0.502 0.999 0.576 O
0.498 0.499 0.076 O
0.242 0.750 0.250 I
0.258 0.750 0.750 I
0.742 0.250 0.250 I
0.758 0.250 0.750 I
```

Results
Its total magnetization is 0.000 μB per cell. The calculated formation energy comes out at -1253 meV/atom.

---

[4]
# Rb2NbCl6

A relaxed structure of Rb2NbCl6 (r²SCAN, the Materials Project database).

Cell and atoms, written as POSCAR:
```
Rb2NbCl6
1.0
4.949 -5.163 0.000
4.949 5.163 0.000
-4.887 0.000 5.105
Rb Nb Cl
2 1 6
direct
0.250 0.750 0.000 Rb
0.750 0.250 0.000 Rb
0.000 0.000 0.500 Nb
0.238 0.762 0.500 Cl
0.239 0.239 0.977 Cl
0.245 0.245 0.502 Cl
0.755 0.755 0.498 Cl
0.761 0.761 0.023 Cl
0.762 0.238 0.500 Cl
```

Results
Its total magnetization is 1.000 μB per cell. The calculated formation energy comes out at -1832 meV/atom.

---

[5]
# KSnF3

A relaxed structure of KSnF3 (r²SCAN, the Materials Project database).

Cell and atoms, written as POSCAR:
```
KSnF3
1.0
7.979 0.000 0.000
2.693 9.517 0.000
3.096 0.899 9.698
K Sn F
8 8 24
direct
0.039 0.381 0.365 K
0.242 0.523 0.986 K
0.245 0.010 0.491 K
0.449 0.651 0.606 K
0.551 0.349 0.394 K
0.755 0.990 0.509 K
0.758 0.477 0.014 K
0.961 0.619 0.635 K
0.046 0.118 0.143 Sn
0.229 0.245 0.748 Sn
0.293 0.717 0.254 Sn
0.471 0.858 0.873 Sn
0.529 0.142 0.127 Sn
0.707 0.283 0.746 Sn
0.771 0.755 0.252 Sn
0.954 0.882 0.857 Sn
0.055 0.634 0.235 F
0.067 0.324 0.072 F
0.089 0.863 0.364 F
0.115 0.811 0.672 F
0.215 0.791 0.910 F
0.239 0.274 0.543 F
0.243 0.146 0.249 F
0.268 0.445 0.740 F
0.269 0.576 0.427 F
0.438 0.357 0.158 F
0.442 0.906 0.676 F
0.459 0.790 0.355 F
0.541 0.210 0.645 F
0.558 0.094 0.324 F
0.562 0.643 0.842 F
0.731 0.424 0.573 F
0.732 0.555 0.260 F
0.757 0.854 0.751 F
0.761 0.726 0.457 F
0.785 0.209 0.090 F
0.885 0.189 0.328 F
0.911 0.137 0.636 F
0.933 0.676 0.928 F
0.945 0.366 0.765 F
```

Results
Its total magnetization is 0.000 μB per cell. The calculated formation energy comes out at -2687 meV/atom.

---

[6]
# EuNi5

A relaxed structure of EuNi5 (r²SCAN, the Materials Project database).

Cell and atoms, written as POSCAR:
```
EuNi5
1.0
4.937 0.000 0.000
-2.469 4.276 0.000
0.000 0.000 3.896
Eu Ni
1 5
direct
0.000 0.000 0.000 Eu
0.000 0.500 0.500 Ni
0.333 0.667 0.000 Ni
0.500 0.000 0.500 Ni
0.500 0.500 0.500 Ni
0.667 0.333 0.000 Ni
```

Results
Its total magnetization is 4.286 μB per cell. The calculated formation energy comes out at -111 meV/atom.